1.
# Tb2Ga5Cu3, relaxed, DFT r²SCAN
# Total moment ... 0.00 μB per atom
# Final energy ... -15.741 eV per atom
# Formation energy from the elements ... -0.521 eV per atom
data_Tb2Ga5Cu3
_chemical_formula_sum 'Tb2 Ga5 Cu3'
_cell_length_a 4.096
_cell_length_b 4.096
_cell_length_c 10.261
_cell_angle_alpha 90.00
_cell_angle_beta 90.00
_cell_angle_gamma 90.00
_space_group_name_H-M_alt 'P -4 m 2'
_space_group_IT_number 115
_space_group_name_Hall 'P -4 -2'
loop_
_atom_site_label
_atom_site_type_symbol
_atom_site_fract_x
_atom_site_fract_y
_atom_site_fract_z
Tb1 Tb 0.000 0.500 0.242
Ga1 Ga 0.000 0.000 0.500
Ga2 Ga 0.000 0.500 0.639
Ga3 Ga 0.000 0.500 0.877
Cu1 Cu 0.000 0.000 0.000
Cu2 Cu 0.500 0.500 0.000
Cu3 Cu 0.500 0.500 0.500

---

2.
# Tm2Ga3Cu, relaxed, DFT r²SCAN
# Total moment ... 0.00 μB per atom
# Final energy ... -19.907 eV per atom
# Formation energy from the elements ... -0.671 eV per atom
data_Tm2Ga3Cu
_chemical_formula_sum 'Tm2 Ga3 Cu1'
_cell_length_a 4.3005
_cell_length_b 4.3005
_cell_length_c 7.0556
_cell_angle_alpha 90.00
_cell_angle_beta 90.00
_cell_angle_gamma 120.00
_space_group_name_H-M_alt 'P 3 m 1'
_space_group_IT_number 156
_space_group_name_Hall 'P 3 -2"'
loop_
_atom_site_label
_atom_site_type_symbol
_atom_site_fract_x
_atom_site_fract_y
_atom_site_fract_z
Tm1 Tm 0.0000 0.0000 0.0000
Tm2 Tm 0.0000 0.0000 0.4686
Ga1 Ga 0.3333 0.6667 0.2151
Ga2 Ga 0.3333 0.6667 0.7841
Ga3 Ga 0.6667 0.3333 0.6862
Cu1 Cu 0.6667 0.3333 0.2759

---

3.
# V2Ga8Cu3, relaxed, DFT r²SCAN
# Total moment ... 0.00 μB per atom
# Final energy ... -11.935 eV per atom
# Formation energy from the elements ... -0.223 eV per atom
data_V2Ga8Cu3
_chemical_formula_sum 'V16 Ga64 Cu24'
_cell_length_a 11.698
_cell_length_b 11.698
_cell_length_c 11.698
_cell_angle_alpha 90.00
_cell_angle_beta 90.00
_cell_angle_gamma 90.00
_space_group_name_H-M_alt 'I -4 3 d'
_space_group_IT_number 220
_space_group_name_Hall 'I -4bd 2c 3'
loop_
_atom_site_label
_atom_site_type_symbol
_atom_site_fract_x
_atom_site_fract_y
_atom_site_fract_z
V1 V 0.012 0.012 0.012
Ga1 Ga 0.113 0.387 0.613
Ga2 Ga 0.116 0.120 0.626
Cu1 Cu 0.000 0.250 0.755

---

4.
# Y3Ga9Cu2, relaxed, DFT r²SCAN
# Total moment ... 0.00 μB per atom
# Final energy ... -13.797 eV per atom
# Formation energy from the elements ... -0.538 eV per atom
data_Y3Ga9Cu2
_chemical_formula_sum 'Y6 Ga18 Cu4'
_cell_length_a 4.159
_cell_length_b 9.867
_cell_length_c 12.124
_cell_angle_alpha 90.00
_cell_angle_beta 90.00
_cell_angle_gamma 90.00
_space_group_name_H-M_alt 'I m m m'
_space_group_IT_number 71
_space_group_name_Hall '-I 2 2'
loop_
_atom_site_label
_atom_site_type_symbol
_atom_site_fract_x
_atom_site_fract_y
_atom_site_fract_z
Y1 Y 0.000 0.000 0.000
Y2 Y 0.000 0.000 0.319
Ga1 Ga 0.000 0.278 0.130
Ga2 Ga 0.000 0.372 0.338
Ga3 Ga 0.000 0.500 0.000
Cu1 Cu 0.000 0.220 0.500

---

5.
# Y2Ga3Cu, relaxed, DFT r²SCAN
# Total moment ... 0.00 μB per atom
# Final energy ... -14.978 eV per atom
# Formation energy from the elements ... -0.677 eV per atom
data_Y2Ga3Cu
_chemical_formula_sum 'Y2 Ga3 Cu1'
_cell_length_a 4.3337
_cell_length_b 4.3337
_cell_length_c 7.2821
_cell_angle_alpha 90.00
_cell_angle_beta 90.00
_cell_angle_gamma 120.00
_space_group_name_H-M_alt 'P 3 m 1'
_space_group_IT_number 156
_space_group_name_Hall 'P 3 -2"'
loop_
_atom_site_label
_atom_site_type_symbol
_atom_site_fract_x
_atom_site_fract_y
_atom_site_fract_z
Y1 Y 0.0000 0.0000 0.0000
Y2 Y 0.0000 0.0000 0.4695
Ga1 Ga 0.3333 0.6667 0.7788
Ga2 Ga 0.6667 0.3333 0.2515
Ga3 Ga 0.6667 0.3333 0.6893
Cu1 Cu 0.3333 0.6667 0.2003

---

6.
# YbGa3Cu, relaxed, DFT r²SCAN
# Total moment ... 0.00 μB per atom
# Final energy ... -16.818 eV per atom
# Formation energy from the elements ... -0.477 eV per atom
data_YbGa3Cu
_chemical_formula_sum 'Yb2 Ga6 Cu2'
_cell_length_a 3.997
_cell_length_b 3.997
_cell_length_c 10.648
_cell_angle_alpha 90.00
_cell_angle_beta 90.00
_cell_angle_gamma 90.00
_space_group_name_H-M_alt 'I -4 m 2'
_space_group_IT_number 119
_space_group_name_Hall 'I -4 -2'
loop_
_atom_site_label
_atom_site_type_symbol
_atom_site_fract_x
_atom_site_fract_y
_atom_site_fract_z
Yb1 Yb 0.000 0.000 0.000
Ga1 Ga 0.000 0.000 0.388
Ga2 Ga 0.000 0.500 0.250
Cu1 Cu 0.000 0.500 0.750

---

7.
# YbGa8Cu4, relaxed, DFT r²SCAN
# Total moment ... 0.00 μB per atom
# Final energy ... -13.316 eV per atom
# Formation energy from the elements ... -0.127 eV per atom
data_YbGa8Cu4
_chemical_formula_sum 'Yb6 Ga48 Cu24'
_cell_length_a 8.661
_cell_length_b 8.661
_cell_length_c 16.281
_cell_angle_alpha 90.00
_cell_angle_beta 90.00
_cell_angle_gamma 90.00
_space_group_name_H-M_alt 'I 4/m m m'
_space_group_IT_number 139
_space_group_name_Hall '-I 4 2'
loop_
_atom_site_label
_atom_site_type_symbol
_atom_site_fract_x
_atom_site_fract_y
_atom_site_fract_z
Yb1 Yb 0.000 0.000 0.000
Yb2 Yb 0.000 0.000 0.338
Ga1 Ga 0.000 0.217 0.160
Ga2 Ga 0.000 0.347 0.357
Ga3 Ga 0.000 0.349 0.000
Ga4 Ga 0.250 0.250 0.250
Cu1 Cu 0.000 0.208 0.500
Cu2 Cu 0.250 0.250 0.077

---

8.
# Zr2Ga3Cu, relaxed, DFT r²SCAN
# Total moment ... 0.00 μB per atom
# Final energy ... -15.712 eV per atom
# Formation energy from the elements ... -0.599 eV per atom
data_Zr2Ga3Cu
_chemical_formula_sum 'Zr4 Ga6 Cu2'
_cell_length_a 9.907
_cell_length_b 4.127
_cell_length_c 6.586
_cell_angle_alpha 90.00
_cell_angle_beta 131.50
_cell_angle_gamma 90.00
_space_group_name_H-M_alt 'C 1 m 1'
_space_group_IT_number 8
_space_group_name_Hall 'C -2y'
loop_
_atom_site_label
_atom_site_type_symbol
_atom_site_fract_x
_atom_site_fract_y
_atom_site_fract_z
Zr1 Zr 0.000 0.000 0.000
Zr2 Zr 0.084 0.000 0.588
Ga1 Ga 0.190 0.500 0.413
Ga2 Ga 0.214 0.500 0.005
Ga3 Ga 0.380 0.000 0.593
Cu1 Cu 0.374 0.000 0.186

---

9.
# ZrGaCu, relaxed, DFT r²SCAN
# Total moment ... 0.00 μB per atom
# Final energy ... -15.502 eV per atom
# Formation energy from the elements ... -0.489 eV per atom
data_ZrGaCu
_chemical_formula_sum 'Zr2 Ga2 Cu2'
_cell_length_a 4.1952
_cell_length_b 4.1952
_cell_length_c 6.4884
_cell_angle_alpha 90.00
_cell_angle_beta 90.00
_cell_angle_gamma 120.00
_space_group_name_H-M_alt 'P 63/m m c'
_space_group_IT_number 194
_space_group_name_Hall '-P 6c 2c'
loop_
_atom_site_label
_atom_site_type_symbol
_atom_site_fract_x
_atom_site_fract_y
_atom_site_fract_z
Zr1 Zr 0.0000 0.0000 0.0000
Ga1 Ga 0.3333 0.6667 0.2500
Cu1 Cu 0.3333 0.6667 0.7500

---

10.
# GdCu, relaxed, DFT r²SCAN
# Total moment ... 3.57 μB per atom
# Final energy ... -27.263 eV per atom
# Formation energy from the elements ... -0.141 eV per atom
data_GdCu
_chemical_formula_sum 'Gd1 Cu1'
_cell_length_a 3.485
_cell_length_b 3.485
_cell_length_c 3.485
_cell_angle_alpha 90.00
_cell_angle_beta 90.00
_cell_angle_gamma 90.00
_space_group_name_H-M_alt 'P m -3 m'
_space_group_IT_number 221
_space_group_name_Hall '-P 4 2 3'
loop_
_atom_site_label
_atom_site_type_symbol
_atom_site_fract_x
_atom_site_fract_y
_atom_site_fract_z
Gd1 Gd 0.000 0.000 0.000
Cu1 Cu 0.500 0.500 0.500

---

11.
# GdCu5, relaxed, DFT r²SCAN
# Total moment ... 1.24 μB per atom
# Final energy ... -16.438 eV per atom
# Formation energy from the elements ... -0.166 eV per atom
data_GdCu5
_chemical_formula_sum 'Gd1 Cu5'
_cell_length_a 5.0157
_cell_length_b 5.0157
_cell_length_c 4.0462
_cell_angle_alpha 90.00
_cell_angle_beta 90.00
_cell_angle_gamma 120.00
_space_group_name_H-M_alt 'P 6/m m m'
_space_group_IT_number 191
_space_group_name_Hall '-P 6 2'
loop_
_atom_site_label
_atom_site_type_symbol
_atom_site_fract_x
_atom_site_fract_y
_atom_site_fract_z
Gd1 Gd 0.0000 0.0000 0.0000
Cu1 Cu 0.0000 0.5000 0.5000
Cu2 Cu 0.3333 0.6667 0.0000

---

12.
# GdCu2Ge2, relaxed, DFT r²SCAN
# Total moment ... 1.42 μB per atom
# Final energy ... -19.109 eV per atom
# Formation energy from the elements ... -0.542 eV per atom
data_GdCu2Ge2
_chemical_formula_sum 'Gd2 Cu4 Ge4'
_cell_length_a 11.021
_cell_length_b 4.051
_cell_length_c 4.062
_cell_angle_alpha 90.00
_cell_angle_beta 111.42
_cell_angle_gamma 90.00
_space_group_name_H-M_alt 'C 1 2/m 1'
_space_group_IT_number 12
_space_group_name_Hall '-C 2y'
loop_
_atom_site_label
_atom_site_type_symbol
_atom_site_fract_x
_atom_site_fract_y
_atom_site_fract_z
Gd1 Gd 0.000 0.000 0.000
Cu1 Cu 0.249 0.500 0.241
Ge1 Ge 0.120 0.500 0.614